[1]
This record from the Materials Project database describes a geometry-optimized Na14Sc3Ta5Si12O48 structure. The functional is GGA-PBE.

## Properties
Calculated volume = 3254 Å³/cell
Magnetic moment = 0.0 μB per cell
Formation enthalpy at 0 K = -3.08 eV/atom

Geometry as POSCAR:
```
Na14Sc3Ta5Si12O48
1.0
-3.712 16.225 -7.472
1.717 -7.196 -5.335
-22.002 -5.088 -0.198
Na Sc Ta Si O
42 9 15 36 144
Direct
0.320 0.011 0.248
0.817 0.009 0.247
0.188 0.367 0.246
0.686 0.360 0.248
0.995 0.624 0.247
0.494 0.628 0.248
0.317 0.625 0.748
0.817 0.625 0.748
0.995 0.366 0.748
0.495 0.366 0.748
0.188 0.009 0.748
0.688 0.009 0.748
0.153 0.346 0.581
0.653 0.344 0.581
0.020 0.694 0.581
0.519 0.694 0.581
0.327 0.960 0.580
0.828 0.961 0.581
0.154 0.962 0.081
0.653 0.961 0.081
0.328 0.695 0.081
0.827 0.694 0.081
0.019 0.345 0.080
0.519 0.344 0.081
0.348 0.029 0.919
0.848 0.029 0.919
0.485 0.293 0.415
0.661 0.029 0.415
0.353 0.678 0.415
0.848 0.668 0.418
0.004 0.007 0.497
0.499 0.000 0.495
0.004 0.000 0.998
0.503 0.000 0.999
0.333 0.339 0.833
0.833 0.339 0.833
0.331 0.329 0.330
0.835 0.332 0.330
0.167 0.667 0.161
0.666 0.667 0.161
0.167 0.667 0.662
0.667 0.667 0.662
0.499 0.000 0.351
0.333 0.333 0.685
0.833 0.333 0.685
0.333 0.334 0.184
0.833 0.333 0.184
0.166 0.666 0.017
0.666 0.666 0.017
0.165 0.665 0.517
0.667 0.668 0.518
0.003 0.004 0.354
0.002 0.000 0.855
0.502 0.000 0.855
0.000 0.000 0.646
0.500 0.000 0.646
0.000 0.000 0.146
0.500 0.000 0.147
0.333 0.338 0.979
0.833 0.338 0.979
0.330 0.328 0.479
0.836 0.334 0.479
0.167 0.668 0.315
0.666 0.666 0.314
0.166 0.666 0.816
0.666 0.666 0.816
0.145 0.997 0.250
0.646 0.000 0.251
0.353 0.708 0.251
0.855 0.711 0.251
0.001 0.290 0.251
0.500 0.293 0.251
0.144 0.291 0.751
0.644 0.291 0.751
0.001 0.711 0.751
0.501 0.712 0.751
0.355 0.998 0.751
0.855 0.998 0.751
0.479 0.334 0.584
0.979 0.333 0.585
0.187 0.041 0.585
0.688 0.043 0.584
0.333 0.624 0.584
0.833 0.625 0.585
0.479 0.625 0.084
0.979 0.624 0.085
0.333 0.042 0.084
0.833 0.042 0.084
0.188 0.334 0.084
0.688 0.333 0.084
0.313 0.664 0.917
0.813 0.664 0.917
0.020 0.375 0.918
0.520 0.375 0.918
0.166 0.960 0.918
0.666 0.960 0.918
0.312 0.960 0.418
0.814 0.961 0.417
0.166 0.374 0.418
0.667 0.373 0.418
0.021 0.667 0.417
0.520 0.666 0.418
0.094 0.023 0.305
0.605 0.032 0.309
0.411 0.790 0.309
0.916 0.808 0.308
0.484 0.178 0.309
0.988 0.163 0.306
0.094 0.164 0.805
0.594 0.164 0.805
0.488 0.812 0.806
0.987 0.812 0.806
0.416 0.024 0.808
0.916 0.024 0.808
0.401 0.965 0.693
0.901 0.965 0.693
0.082 0.200 0.692
0.582 0.200 0.692
0.018 0.836 0.692
0.518 0.836 0.692
0.400 0.835 0.193
0.901 0.836 0.193
0.018 0.199 0.192
0.517 0.200 0.193
0.082 0.965 0.192
0.583 0.966 0.193
0.438 0.365 0.643
0.938 0.365 0.644
0.244 0.123 0.644
0.745 0.125 0.643
0.317 0.510 0.643
0.817 0.510 0.643
0.439 0.512 0.143
0.939 0.512 0.144
0.317 0.123 0.143
0.818 0.125 0.142
0.244 0.365 0.143
0.744 0.367 0.143
0.236 0.298 0.027
0.736 0.298 0.028
0.414 0.528 0.027
0.914 0.528 0.028
0.351 0.168 0.025
0.851 0.168 0.025
0.235 0.172 0.528
0.734 0.170 0.526
0.351 0.533 0.526
0.851 0.533 0.526
0.415 0.299 0.526
0.914 0.299 0.528
0.276 0.710 0.975
0.776 0.710 0.975
0.076 0.450 0.976
0.576 0.451 0.976
0.150 0.849 0.977
0.651 0.849 0.976
0.271 0.842 0.476
0.776 0.845 0.475
0.150 0.450 0.477
0.652 0.459 0.476
0.075 0.700 0.477
0.579 0.700 0.475
0.068 0.639 0.358
0.568 0.634 0.360
0.251 0.863 0.359
0.750 0.867 0.359
0.182 0.499 0.359
0.684 0.502 0.359
0.068 0.497 0.859
0.568 0.497 0.859
0.182 0.864 0.859
0.682 0.865 0.859
0.252 0.639 0.858
0.752 0.639 0.858
0.005 0.828 0.407
0.508 0.829 0.412
0.406 0.984 0.412
0.906 0.976 0.407
0.084 0.184 0.407
0.585 0.186 0.412
0.005 0.182 0.907
0.505 0.182 0.907
0.084 0.983 0.907
0.584 0.983 0.907
0.406 0.836 0.906
0.906 0.836 0.906
0.485 0.157 0.590
0.985 0.156 0.590
0.093 0.031 0.590
0.594 0.031 0.590
0.422 0.813 0.590
0.922 0.813 0.590
0.485 0.814 0.089
0.985 0.813 0.090
0.422 0.030 0.090
0.922 0.030 0.090
0.093 0.156 0.090
0.593 0.156 0.090
0.345 0.164 0.748
0.845 0.164 0.748
0.237 0.310 0.748
0.737 0.310 0.748
0.418 0.526 0.748
0.918 0.526 0.748
0.340 0.520 0.245
0.845 0.526 0.248
0.419 0.318 0.245
0.918 0.310 0.248
0.237 0.163 0.248
0.740 0.163 0.245
0.322 0.495 0.923
0.822 0.495 0.923
0.424 0.349 0.922
0.924 0.349 0.922
0.255 0.145 0.922
0.755 0.145 0.922
0.322 0.150 0.423
0.818 0.145 0.423
0.255 0.366 0.423
0.755 0.362 0.423
0.426 0.490 0.423
0.925 0.498 0.423
0.175 0.496 0.078
0.675 0.496 0.078
0.073 0.651 0.078
0.574 0.651 0.078
0.252 0.853 0.078
0.752 0.853 0.078
0.174 0.853 0.579
0.675 0.855 0.578
0.252 0.651 0.579
0.753 0.652 0.579
0.073 0.496 0.579
0.573 0.496 0.578
0.150 0.823 0.257
0.652 0.823 0.256
0.259 0.697 0.256
0.762 0.699 0.257
0.088 0.477 0.258
0.589 0.481 0.256
0.151 0.478 0.757
0.651 0.478 0.757
0.088 0.699 0.757
0.588 0.699 0.757
0.261 0.823 0.757
0.761 0.823 0.757
```



[2]
This record from the Materials Project database describes a geometry-optimized Na6ScTa3Si6O24 structure. The functional is GGA-PBE.

## Properties
ΔE to the lowest computed polymorph = 0 meV/atom
Calculated volume = 1066 Å³/cell
Magnetic moment = 0.0 μB per cell
Formation enthalpy at 0 K = -3.10 eV/atom

Geometry as POSCAR:
```
Na6ScTa3Si6O24
1.0
-14.149 2.674 6.472
-0.103 -8.421 3.378
7.976 1.611 4.049
Na Sc Ta Si O
12 2 6 12 48
Direct
0.251 0.750 0.999
0.746 0.749 0.486
0.751 0.250 0.999
0.246 0.249 0.486
0.505 0.092 0.764
0.502 0.883 0.234
0.005 0.592 0.764
0.002 0.383 0.234
0.802 0.931 0.208
0.185 0.073 0.803
0.302 0.431 0.208
0.685 0.573 0.803
0.105 0.244 0.068
0.605 0.744 0.068
0.106 0.751 0.564
0.894 0.753 0.929
0.893 0.250 0.436
0.606 0.251 0.564
0.394 0.253 0.929
0.393 0.750 0.436
0.997 0.959 0.747
0.001 0.042 0.254
0.497 0.459 0.747
0.501 0.542 0.254
0.356 0.893 0.761
0.647 0.895 0.749
0.646 0.113 0.244
0.357 0.102 0.252
0.856 0.393 0.761
0.147 0.395 0.749
0.146 0.613 0.244
0.857 0.602 0.252
0.152 0.574 0.729
0.849 0.576 0.757
0.856 0.420 0.261
0.157 0.436 0.250
0.652 0.074 0.729
0.349 0.076 0.757
0.356 0.920 0.261
0.657 0.936 0.250
0.427 0.564 0.566
0.574 0.563 0.916
0.560 0.435 0.431
0.434 0.427 0.080
0.927 0.064 0.566
0.074 0.063 0.916
0.060 0.935 0.431
0.934 0.927 0.080
0.250 0.835 0.738
0.743 0.810 0.760
0.744 0.190 0.256
0.266 0.187 0.249
0.750 0.335 0.738
0.243 0.310 0.760
0.244 0.690 0.256
0.766 0.687 0.249
0.364 0.851 0.591
0.649 0.871 0.927
0.643 0.167 0.414
0.355 0.140 0.071
0.864 0.351 0.591
0.149 0.371 0.927
0.143 0.667 0.414
0.855 0.640 0.071
0.458 0.836 0.945
0.538 0.823 0.573
0.536 0.171 0.060
0.470 0.158 0.428
0.958 0.336 0.945
0.038 0.323 0.573
0.036 0.671 0.060
0.970 0.658 0.428
0.073 0.845 0.730
0.918 0.852 0.760
0.912 0.137 0.257
0.079 0.153 0.253
0.573 0.345 0.730
0.418 0.352 0.760
0.412 0.637 0.257
0.579 0.653 0.253
```



[3]
This record from the Materials Project database describes a geometry-optimized NaZrScO4 structure. The functional is GGA-PBE.

## Properties
Calculated volume = 354 Å³/cell
Magnetic moment = 0.0 μB per cell
Formation enthalpy at 0 K = -3.45 eV/atom

Geometry as POSCAR:
```
NaZrScO4
1.0
-1.494 -0.226 2.844
-3.272 -8.758 -2.416
9.310 -4.724 4.515
Na Zr Sc O
4 4 4 16
Direct
0.500 0.256 0.899
0.500 0.756 0.101
0.000 0.744 0.600
0.000 0.244 0.400
0.000 0.568 0.361
0.000 0.068 0.639
0.000 0.580 0.856
0.000 0.080 0.144
0.500 0.431 0.138
0.500 0.931 0.862
0.500 0.421 0.643
0.500 0.921 0.357
0.500 0.205 0.596
0.500 0.705 0.404
0.000 0.792 0.903
0.000 0.292 0.097
0.500 0.117 0.266
0.500 0.617 0.734
0.000 0.887 0.234
0.000 0.387 0.766
0.500 0.426 0.325
0.500 0.926 0.675
0.000 0.572 0.177
0.000 0.072 0.823
0.500 0.021 0.034
0.500 0.521 0.966
0.000 0.980 0.468
0.000 0.480 0.532
```



> The lowest formation enthalpy at 0 K belongs to which entry?

NaZrScO4



> What is the formula in the first record?

Na14Sc3Ta5Si12O48



> What is the formula in the second record?

Na6ScTa3Si6O24



> Among the records above, which one has the highest calculated volume?

Na14Sc3Ta5Si12O48